PBE with a Hubbard U LiFeP4O13, optimized geometry; ΔH_f (0 K) = -2.305 eV/atom; ρ = 2.31 g/cm3; DFT total energy = -515.9 eV for the cell shown; polymorph energy (0 for the lowest one) = 0.0 meV/atom; volume = 14.90 Å³ per atom; SG = P1 (1)
1.0
8.880 0.000 0.000
4.062 9.434 0.000
1.337 2.168 13.519
Li Fe P O
4 4 16 52
Cartesian
0.000 0.000 0.000
4.538 7.363 6.797
6.926 8.392 6.707
7.278 2.641 6.637
2.829 2.664 3.365
4.576 3.648 10.128
9.289 7.418 3.272
11.012 8.383 10.275
2.890 5.677 4.651
5.130 9.495 4.347
4.596 6.644 11.574
6.466 10.813 10.802
4.897 5.057 2.647
6.831 9.121 1.933
6.325 6.265 9.178
8.517 10.056 8.887
5.388 0.983 4.664
7.483 4.869 4.283
7.037 1.966 11.617
8.890 5.987 10.727
11.489 9.696 2.731
9.259 4.386 1.935
12.796 10.891 9.216
10.962 5.375 8.767
1.418 1.597 9.538
2.414 4.235 4.493
1.493 1.513 4.315
3.685 5.948 5.911
5.741 10.275 11.985
3.163 4.318 8.803
3.840 6.029 3.371
5.344 8.725 5.622
4.135 5.204 11.348
3.119 2.699 11.052
5.853 8.694 3.158
6.024 9.180 0.640
5.322 6.639 12.925
5.620 7.059 10.386
4.215 3.730 2.367
3.272 1.120 2.171
6.104 7.046 7.912
7.519 9.778 10.164
5.562 5.755 1.506
4.292 2.051 4.577
7.771 9.786 7.606
5.908 4.813 9.193
5.938 4.806 3.849
4.979 2.055 9.017
5.906 2.974 11.509
7.936 8.082 1.937
7.889 6.382 9.512
8.918 8.988 4.507
7.914 6.322 4.236
6.158 1.238 5.944
9.615 8.992 9.018
8.195 5.244 11.819
7.575 4.143 5.572
6.389 1.286 3.403
10.645 9.939 11.489
9.621 7.258 11.135
8.227 4.033 3.130
7.819 2.103 12.922
8.041 2.300 10.390
8.563 4.190 0.582
10.740 8.416 2.403
9.709 5.833 2.101
8.503 2.121 7.912
9.942 5.022 9.983
10.633 6.702 4.601
10.159 5.379 7.458
8.200 0.888 1.629
12.407 9.422 9.336
11.476 6.815 8.961
12.451 9.359 4.010
12.365 7.676 11.545
10.360 3.336 2.007